Entry 1:
## Li6VB3O9 (GGA+U)

Data for crystalline Li6VB3O9 at its relaxed geometry.

Summary:
DFT total energy, eV for the cell shown: -503.66
SG: No. 14
Calculated formation energy, eV/atom: -2.56

a b c (Å): 7.048 16.295 6.553
angles (deg): 90.00 104.73 90.00
Sites, in units of the cell vectors:
Li1 0.039 0.031 0.170
Li2 0.039 0.469 0.670
Li3 0.084 0.706 0.048
Li4 0.084 0.794 0.548
Li5 0.194 0.537 0.051
Li6 0.194 0.963 0.551
Li7 0.229 0.207 0.865
Li8 0.229 0.293 0.365
Li9 0.365 0.055 0.913
Li10 0.365 0.445 0.413
Li11 0.435 0.005 0.321
Li12 0.435 0.495 0.821
Li13 0.565 0.505 0.179
Li14 0.565 0.995 0.679
Li15 0.635 0.555 0.587
Li16 0.635 0.945 0.087
Li17 0.771 0.707 0.635
Li18 0.771 0.793 0.135
Li19 0.806 0.037 0.449
Li20 0.806 0.463 0.949
Li21 0.916 0.206 0.452
Li22 0.916 0.294 0.952
Li23 0.961 0.531 0.330
Li24 0.961 0.969 0.830
V1 0.422 0.683 0.832
V2 0.422 0.817 0.332
V3 0.578 0.183 0.668
V4 0.578 0.317 0.168
B1 0.070 0.619 0.688
B2 0.070 0.881 0.188
B3 0.222 0.125 0.501
B4 0.222 0.375 0.001
B5 0.417 0.638 0.346
B6 0.417 0.862 0.846
B7 0.583 0.138 0.154
B8 0.583 0.362 0.654
B9 0.778 0.625 0.999
B10 0.778 0.875 0.499
B11 0.930 0.119 0.812
B12 0.930 0.381 0.312
O1 0.040 0.092 0.419
O2 0.040 0.408 0.919
O3 0.099 0.701 0.739
O4 0.099 0.799 0.239
O5 0.100 0.083 0.924
O6 0.100 0.417 0.424
O7 0.237 0.572 0.766
O8 0.237 0.928 0.266
O9 0.258 0.206 0.566
O10 0.258 0.294 0.066
O11 0.378 0.696 0.183
O12 0.378 0.804 0.683
O13 0.392 0.078 0.534
O14 0.392 0.422 0.034
O15 0.395 0.555 0.314
O16 0.395 0.945 0.814
O17 0.497 0.665 0.551
O18 0.497 0.835 0.051
O19 0.503 0.165 0.949
O20 0.503 0.335 0.449
O21 0.605 0.055 0.186
O22 0.605 0.445 0.686
O23 0.608 0.578 0.966
O24 0.608 0.922 0.466
O25 0.622 0.196 0.317
O26 0.622 0.304 0.817
O27 0.742 0.706 0.934
O28 0.742 0.794 0.434
O29 0.763 0.072 0.734
O30 0.763 0.428 0.234
O31 0.900 0.583 0.576
O32 0.900 0.917 0.076
O33 0.901 0.201 0.761
O34 0.901 0.299 0.261
O35 0.960 0.592 0.081
O36 0.960 0.908 0.581

Entry 2:
## Li2TiCr3O8 (GGA+U)

Data for crystalline Li2TiCr3O8 at its relaxed geometry.

Summary:
DFT total energy, eV for the cell shown: -103.58
SG: No. 12
Energy relative to the lowest polymorph listed for this composition, meV/atom: 81.9
Calculated formation energy, eV/atom: -2.49

a b c (Å): 5.845 5.845 6.002
angles (deg): 119.34 119.34 60.34
Sites, in units of the cell vectors:
Li1 0.000 0.000 0.000
Li2 0.500 0.500 0.000
Ti1 0.000 0.000 0.500
Cr1 0.000 0.500 0.500
Cr2 0.500 0.000 0.500
Cr3 0.500 0.500 0.500
O1 0.235 0.738 0.715
O2 0.238 0.238 0.706
O3 0.262 0.765 0.285
O4 0.265 0.265 0.302
O5 0.735 0.735 0.698
O6 0.738 0.235 0.715
O7 0.762 0.762 0.294
O8 0.765 0.262 0.285

Entry 3:
## KSrDyWO6 (GGA+U)

Data for crystalline KSrDyWO6 at its relaxed geometry.

Summary:
DFT total energy, eV for the cell shown: -71.02
SG: No. 216
Calculated formation energy, eV/atom: -2.95

a b c (Å): 5.926 5.926 5.926
angles (deg): 60.00 60.00 60.00
Sites, in units of the cell vectors:
K1 0.000 0.000 0.000
Sr1 0.500 0.500 0.500
Dy1 0.750 0.750 0.750
W1 0.250 0.250 0.250
O1 0.017 0.017 0.483
O2 0.017 0.483 0.017
O3 0.017 0.483 0.483
O4 0.483 0.017 0.017
O5 0.483 0.017 0.483
O6 0.483 0.483 0.017

Entry 4:
## Li3Co2Si2O8 (GGA+U)

Data for crystalline Li3Co2Si2O8 at its relaxed geometry.

Summary:
DFT total energy, eV for the cell shown: -97.23
SG: No. 1
Energy relative to the lowest polymorph listed for this composition, meV/atom: 34.7
Calculated formation energy, eV/atom: -2.38

a b c (Å): 5.241 5.243 6.485
angles (deg): 90.64 90.66 91.44
Sites, in units of the cell vectors:
Li1 0.000 0.000 0.000
Li2 0.154 0.483 0.240
Li3 0.650 0.353 0.002
Co1 0.031 0.981 0.512
Co2 0.641 0.364 0.511
Si1 0.160 0.493 0.763
Si2 0.524 0.858 0.251
O1 0.031 0.356 0.544
O2 0.032 0.379 0.969
O3 0.091 0.801 0.744
O4 0.205 0.903 0.273
O5 0.465 0.451 0.754
O6 0.540 0.543 0.262
O7 0.640 0.988 0.053
O8 0.666 0.988 0.462